## Li4VO3F2 (GGA+U)

Data for crystalline Li4VO3F2 at its relaxed geometry.

Final energy   -5.742 eV/atom
Formation enthalpy at 0 K   -2672 meV per atom
ΔE to the lowest computed polymorph   0.006 eV/atom
Mass density   2.583 g/cm3

Geometry as CIF:
```
data_Li4VO3F2
_symmetry_space_group_name_H-M 'P 1'
_symmetry_Int_Tables_number 1
_cell_length_a 5.419
_cell_length_b 5.419
_cell_length_c 7.986
_cell_angle_alpha 98.27
_cell_angle_beta 98.27
_cell_angle_gamma 66.42
loop_
_symmetry_equiv_pos_as_xyz
'x,y,z'
loop_
_atom_site_label
_atom_site_fract_x
_atom_site_fract_y
_atom_site_fract_z
_atom_site_occupancy
Li1 0.069 0.754 0.558 1
Li2 0.129 0.473 0.865 1
Li3 0.246 0.931 0.942 1
Li4 0.473 0.129 0.365 1
Li5 0.527 0.871 0.635 1
Li6 0.754 0.069 0.058 1
Li7 0.871 0.527 0.135 1
Li8 0.931 0.246 0.442 1
V1 0.339 0.661 0.250 1
V2 0.661 0.339 0.750 1
O1 0.079 0.734 0.070 1
O2 0.266 0.921 0.430 1
O3 0.363 0.637 0.750 1
O4 0.637 0.363 0.250 1
O5 0.734 0.079 0.570 1
O6 0.921 0.266 0.930 1
F1 0.136 0.475 0.351 1
F2 0.475 0.136 0.851 1
F3 0.525 0.864 0.149 1
F4 0.864 0.525 0.649 1
```